# 1
K2SrNb5O15 | GGA-PBE | relaxed

Cell: 4.0575 12.7757 12.7757 Å, 90.00 90.00 90.00°
With the nearest neighbours (Å) after each atom.
Fractional positions:
K1 0.0328 0.6705 0.1705  7 O 2.84-3.09
K2 0.0328 0.3295 0.8295  7 O 2.84-3.09
K3 0.0328 0.8295 0.6705  7 O 2.84-3.09
K4 0.0328 0.1705 0.3295  7 O 2.84-3.09
Sr1 0.0315 0.0000 0.0000  12 O 2.70-2.92
Sr2 0.0315 0.5000 0.5000  12 O 2.70-2.92
Nb1 0.5415 0.5000 0.0000  5 O 1.86-2.00
Nb2 0.5415 0.0000 0.5000  5 O 1.86-2.00
Nb3 0.5344 0.2126 0.0758  5 O 1.90-2.07
Nb4 0.5344 0.7874 0.9242  5 O 1.90-2.07
Nb5 0.5344 0.9242 0.2126  5 O 1.90-2.07
Nb6 0.5344 0.7126 0.4242  5 O 1.90-2.07
Nb7 0.5344 0.0758 0.7874  5 O 1.90-2.07
Nb8 0.5344 0.2874 0.5758  5 O 1.90-2.07
Nb9 0.5344 0.4242 0.2874  5 O 1.90-2.07
Nb10 0.5344 0.5758 0.7126  5 O 1.90-2.07
O1 0.0001 0.1993 0.0712  1 Nb 1.90
O2 0.0001 0.8007 0.9288  1 Nb 1.90
O3 0.0001 0.9288 0.1993  1 Nb 1.90
O4 0.0001 0.6993 0.4288  1 Nb 1.90
O5 0.0001 0.0712 0.8007  1 Nb 1.90
O6 0.0001 0.3007 0.5712  1 Nb 1.90
O7 0.0001 0.4288 0.3007  1 Nb 1.90
O8 0.0001 0.5712 0.6993  1 Nb 1.90
O9 0.4910 0.0012 0.3442  2 Nb 1.96-2.00
O10 0.4910 0.9988 0.6558  2 Nb 1.96-2.00
O11 0.4910 0.6558 0.0012  2 Nb 1.96-2.00
O12 0.4910 0.5012 0.1558  2 Nb 1.96-2.00
O13 0.4910 0.3442 0.9988  2 Nb 1.96-2.00
O14 0.4910 0.4988 0.8442  2 Nb 1.96-2.00
O15 0.4910 0.1558 0.4988  2 Nb 1.96-2.00
O16 0.4910 0.8442 0.5012  2 Nb 1.96-2.00
O17 0.9993 0.5000 0.0000  1 Nb 1.86
O18 0.9993 0.0000 0.5000  1 Nb 1.86
O19 0.5050 0.2132 0.7132  2 Nb 2.00
O20 0.5050 0.7868 0.2868  2 Nb 2.00
O21 0.5050 0.2868 0.2132  2 Nb 2.00
O22 0.5050 0.7132 0.7868  2 Nb 2.00
O23 0.4945 0.0670 0.1364  2 Nb 2.02-2.07
O24 0.4945 0.9330 0.8636  2 Nb 2.02-2.07
O25 0.4945 0.8636 0.0670  2 Nb 2.02-2.07
O26 0.4945 0.5670 0.3636  2 Nb 2.02-2.07
O27 0.4945 0.1364 0.9330  2 Nb 2.02-2.07
O28 0.4945 0.4330 0.6364  2 Nb 2.02-2.07
O29 0.4945 0.3636 0.4330  2 Nb 2.02-2.07
O30 0.4945 0.6364 0.5670  2 Nb 2.02-2.07

# 2
K4Ta3NbO12 | GGA-PBE | relaxed

Cell: 9.8800 9.8800 9.8800 Å, 33.56 33.56 33.56°
With the nearest neighbours (Å) after each atom.
Fractional positions:
K1 0.3750 0.3750 0.3750  12 O 2.85
K2 0.1250 0.1250 0.1250  12 O 2.85
K3 0.8750 0.8750 0.8750  12 O 2.85
K4 0.6250 0.6250 0.6250  12 O 2.85
Ta1 0.2502 0.2502 0.2502  6 O 2.01
Ta2 0.0000 0.0000 0.0000  6 O 2.02
Ta3 0.7498 0.7498 0.7498  6 O 2.01
Nb1 0.5000 0.5000 0.5000  6 O 2.03
O1 0.1249 0.6252 0.1249  2 Ta 2.01-2.02
O2 0.8751 0.3748 0.8751  2 Ta 2.01-2.02
O3 0.6256 0.1233 0.6256  1 Ta 2.01, 1 Nb 2.03
O4 0.3744 0.8767 0.3744  1 Ta 2.01, 1 Nb 2.03
O5 0.8751 0.8751 0.3748  2 Ta 2.01-2.02
O6 0.6256 0.6256 0.1233  1 Ta 2.01, 1 Nb 2.03
O7 0.3744 0.3744 0.8767  1 Ta 2.01, 1 Nb 2.03
O8 0.1249 0.1249 0.6252  2 Ta 2.01-2.02
O9 0.3748 0.8751 0.8751  2 Ta 2.01-2.02
O10 0.1233 0.6256 0.6256  1 Ta 2.01, 1 Nb 2.03
O11 0.8767 0.3744 0.3744  1 Ta 2.01, 1 Nb 2.03
O12 0.6252 0.1249 0.1249  2 Ta 2.01-2.02

# 3
K2TbNb5O15 | GGA-PBE | relaxed

Cell: 12.7575 12.7575 3.9556 Å, 90.00 90.00 90.00°
With the nearest neighbours (Å) after each atom.
Fractional positions:
K1 0.6700 0.1700 0.5000  7 O 2.84-3.07
K2 0.3300 0.8300 0.5000  7 O 2.84-3.07
K3 0.1700 0.3300 0.5000  7 O 2.84-3.07
K4 0.8300 0.6700 0.5000  7 O 2.84-3.07
Tb1 0.0000 0.0000 0.5000  12 O 2.57-2.69
Tb2 0.5000 0.5000 0.5000  12 O 2.57-2.69
Nb1 0.5000 0.0000 0.0000  6 O 1.98-2.01
Nb2 0.0000 0.5000 0.0000  6 O 1.98-2.01
Nb3 0.2121 0.0765 0.0000  6 O 1.93-2.09
Nb4 0.7879 0.9235 0.0000  6 O 1.93-2.09
Nb5 0.0765 0.7879 0.0000  6 O 1.93-2.09
Nb6 0.7121 0.4235 0.0000  6 O 1.93-2.09
Nb7 0.9235 0.2121 0.0000  6 O 1.93-2.09
Nb8 0.2879 0.5765 0.0000  6 O 1.93-2.09
Nb9 0.5765 0.7121 0.0000  6 O 1.93-2.09
Nb10 0.4235 0.2879 0.0000  6 O 1.93-2.09
O1 0.1858 0.0785 0.5000  2 Nb 2.01
O2 0.8142 0.9215 0.5000  2 Nb 2.01
O3 0.0785 0.8142 0.5000  2 Nb 2.01
O4 0.6858 0.4215 0.5000  2 Nb 2.01
O5 0.9215 0.1858 0.5000  2 Nb 2.01
O6 0.3142 0.5785 0.5000  2 Nb 2.01
O7 0.5785 0.6858 0.5000  2 Nb 2.01
O8 0.4215 0.3142 0.5000  2 Nb 2.01
O9 0.2172 0.7172 0.0000  2 Nb 2.01
O10 0.7828 0.2828 0.0000  2 Nb 2.01
O11 0.7172 0.7828 0.0000  2 Nb 2.01
O12 0.2828 0.2172 0.0000  2 Nb 2.01
O13 0.5000 0.0000 0.5000  2 Nb 1.98
O14 0.0000 0.5000 0.5000  2 Nb 1.98
O15 0.0579 0.1308 0.0000  2 Nb 2.00-2.09
O16 0.9421 0.8692 0.0000  2 Nb 2.00-2.09
O17 0.1308 0.9421 0.0000  2 Nb 2.00-2.09
O18 0.5579 0.3692 0.0000  2 Nb 2.00-2.09
O19 0.8692 0.0579 0.0000  2 Nb 2.00-2.09
O20 0.4421 0.6308 0.0000  2 Nb 2.00-2.09
O21 0.6308 0.5579 0.0000  2 Nb 2.00-2.09
O22 0.3692 0.4421 0.0000  2 Nb 2.00-2.09
O23 0.3421 0.9996 0.0000  2 Nb 1.93-2.01
O24 0.6579 0.0004 0.0000  2 Nb 1.93-2.01
O25 0.9996 0.6579 0.0000  2 Nb 1.93-2.01
O26 0.8421 0.5004 0.0000  2 Nb 1.93-2.01
O27 0.0004 0.3421 0.0000  2 Nb 1.93-2.01
O28 0.1579 0.4996 0.0000  2 Nb 1.93-2.01
O29 0.4996 0.8421 0.0000  2 Nb 1.93-2.01
O30 0.5004 0.1579 0.0000  2 Nb 1.93-2.01

# 4
KNb3Te2O12 | GGA-PBE | relaxed

Cell: 4.1067 15.2299 17.7416 Å, 90.00 90.00 90.00°
With the nearest neighbours (Å) after each atom.
Fractional positions:
K1 0.2265 0.0712 0.7500  8 O 2.95-3.23
K2 0.7735 0.9288 0.2500  8 O 2.95-3.23
K3 0.2265 0.4288 0.2500  8 O 2.95-3.23
K4 0.7735 0.5712 0.7500  8 O 2.95-3.23
Nb1 0.2340 0.7935 0.7500  3 O 1.83-1.97
Nb2 0.7660 0.2065 0.2500  3 O 1.83-1.97
Nb3 0.2340 0.7065 0.2500  3 O 1.83-1.97
Nb4 0.7660 0.2935 0.7500  3 O 1.83-1.97
Nb5 0.7682 0.1504 0.5695  3 O 1.82-1.97
Nb6 0.2318 0.8496 0.0695  3 O 1.82-1.97
Nb7 0.7682 0.3496 0.4305  3 O 1.82-1.97
Nb8 0.2318 0.6504 0.9305  3 O 1.82-1.97
Nb9 0.2318 0.8496 0.4305  3 O 1.82-1.97
Nb10 0.7682 0.1504 0.9305  3 O 1.82-1.97
Nb11 0.2318 0.6504 0.5695  3 O 1.82-1.97
Nb12 0.7682 0.3496 0.0695  3 O 1.82-1.97
Te1 0.6117 0.9146 0.5974  3 O 1.90-1.91
Te2 0.3883 0.0854 0.0974  3 O 1.90-1.91
Te3 0.6117 0.5854 0.4026  3 O 1.90-1.91
Te4 0.3883 0.4146 0.9026  3 O 1.90-1.91
Te5 0.3883 0.0854 0.4026  3 O 1.90-1.91
Te6 0.6117 0.9146 0.9026  3 O 1.90-1.91
Te7 0.3883 0.4146 0.5974  3 O 1.90-1.91
Te8 0.6117 0.5854 0.0974  3 O 1.90-1.91
O1 0.2825 0.9332 0.5230  1 Te 1.91, 1 Nb 2.09
O2 0.7175 0.0668 0.0230  1 Te 1.91, 1 Nb 2.09
O3 0.2825 0.5668 0.4770  1 Te 1.91, 1 Nb 2.09
O4 0.7175 0.4332 0.9770  1 Te 1.91, 1 Nb 2.09
O5 0.7175 0.0668 0.4770  1 Te 1.91, 1 Nb 2.09
O6 0.2825 0.9332 0.9770  1 Te 1.91, 1 Nb 2.09
O7 0.7175 0.4332 0.5230  1 Te 1.91, 1 Nb 2.09
O8 0.2825 0.5668 0.0230  1 Te 1.91, 1 Nb 2.09
O9 0.6978 0.0314 0.6295  1 Te 1.90, 1 Nb 2.12
O10 0.3021 0.9686 0.1295  1 Te 1.90, 1 Nb 2.12
O11 0.6978 0.4686 0.3705  1 Te 1.90, 1 Nb 2.12
O12 0.3021 0.5314 0.8705  1 Te 1.90, 1 Nb 2.12
O13 0.3021 0.9686 0.3705  1 Te 1.90, 1 Nb 2.12
O14 0.6978 0.0314 0.8705  1 Te 1.90, 1 Nb 2.12
O15 0.3021 0.5314 0.6295  1 Te 1.90, 1 Nb 2.12
O16 0.6978 0.4686 0.1295  1 Te 1.90, 1 Nb 2.12
O17 0.2900 0.8962 0.6736  1 Te 1.91, 1 Nb 2.08
O18 0.7100 0.1038 0.1736  1 Te 1.91, 1 Nb 2.08
O19 0.2900 0.6038 0.3264  1 Te 1.91, 1 Nb 2.08
O20 0.7100 0.3962 0.8264  1 Te 1.91, 1 Nb 2.08
O21 0.7100 0.1038 0.3264  1 Te 1.91, 1 Nb 2.08
O22 0.2900 0.8962 0.8264  1 Te 1.91, 1 Nb 2.08
O23 0.7100 0.3962 0.6736  1 Te 1.91, 1 Nb 2.08
O24 0.2900 0.6038 0.1736  1 Te 1.91, 1 Nb 2.08
O25 0.2880 0.7079 0.6680  2 Nb 1.97
O26 0.7120 0.2921 0.1680  2 Nb 1.97
O27 0.2880 0.7921 0.3320  2 Nb 1.97
O28 0.7120 0.2079 0.8320  2 Nb 1.97
O29 0.7120 0.2921 0.3320  2 Nb 1.97
O30 0.2880 0.7079 0.8320  2 Nb 1.97
O31 0.7120 0.2079 0.6680  2 Nb 1.97
O32 0.2880 0.7921 0.1680  2 Nb 1.97
O33 0.7883 0.8005 0.7500  1 Nb 1.83
O34 0.2117 0.1995 0.2500  1 Nb 1.83
O35 0.7883 0.6995 0.2500  1 Nb 1.83
O36 0.2117 0.3005 0.7500  1 Nb 1.83
O37 0.7068 0.2500 0.5000  2 Nb 1.97
O38 0.2932 0.7500 0.0000  2 Nb 1.97
O39 0.2932 0.7500 0.5000  2 Nb 1.97
O40 0.7068 0.2500 0.0000  2 Nb 1.97
O41 0.2116 0.1463 0.5680  1 Nb 1.82
O42 0.7884 0.8537 0.0680  1 Nb 1.82
O43 0.2116 0.3537 0.4320  1 Nb 1.82
O44 0.7884 0.6463 0.9320  1 Nb 1.82
O45 0.7884 0.8537 0.4320  1 Nb 1.82
O46 0.2116 0.1463 0.9320  1 Nb 1.82
O47 0.7884 0.6463 0.5680  1 Nb 1.82
O48 0.2116 0.3537 0.0680  1 Nb 1.82

Calculated E (MP2020) (eV/atom), listed in the same order as above: -8.550, -8.493, -8.792, -7.890